## P
A geometry-optimized SrYCoO4 structure, computed with PBE with a Hubbard U.

Lattice parameters (Å, degrees): 5.342 8.597 8.636 89.22 71.99 71.90
Space group P1 (No. 1)
Asymmetric unit:
Sr 0.000 0.000 0.000
Sr 0.241 0.259 0.259
Sr 0.500 0.500 0.500
Sr 0.741 0.759 0.759
Y 0.261 0.522 0.955
Y 0.488 0.796 0.232
Y 0.761 0.023 0.455
Y 0.987 0.296 0.732
Co 0.247 0.900 0.606
Co 0.498 0.142 0.862
Co 0.747 0.400 0.106
Co 0.998 0.642 0.362
O 0.012 0.450 0.526
O 0.112 0.273 0.993
O 0.121 0.773 0.493
O 0.231 0.739 0.798
O 0.276 0.028 0.418
O 0.370 0.047 0.702
O 0.382 0.547 0.201
O 0.462 0.346 0.728
O 0.511 0.951 0.026
O 0.612 0.773 0.494
O 0.621 0.274 0.993
O 0.731 0.239 0.298
O 0.779 0.528 0.918
O 0.870 0.546 0.202
O 0.882 0.047 0.702
O 0.959 0.847 0.229

=====

## Q
A geometry-optimized SrYCoO4 structure, computed with PBE with a Hubbard U.

Lattice parameters (Å, degrees): 3.781 3.781 12.297 90.00 90.00 90.00
Space group I4mm (No. 107)
Asymmetric unit:
Sr 0.000 0.000 0.000
Y 0.000 0.000 0.716
Co 0.000 0.000 0.356
O 0.000 0.000 0.193
O 0.000 0.000 0.535
O 0.000 0.500 0.343

=====

Top of the stability list: P, leading by 18 meV per atom.

=====

## P
A geometry-optimized FeSO8 structure, computed with PBE with a Hubbard U.

Lattice parameters (Å, degrees): 6.454 8.512 12.383 104.44 95.44 90.02
Space group P-1 (No. 2)
Asymmetric unit:
Fe 0.156 0.401 0.429
Fe 0.267 0.402 0.772
S 0.062 0.320 0.144
S 0.444 0.722 0.433
O 0.020 0.244 0.465
O 0.023 0.506 0.851
O 0.051 0.295 0.702
O 0.100 0.798 0.915
O 0.125 0.299 0.258
O 0.129 0.554 0.579
O 0.252 0.318 0.087
O 0.310 0.575 0.380
O 0.332 0.869 0.468
O 0.349 0.994 0.763
O 0.351 0.568 0.748
O 0.368 0.851 0.169
O 0.385 0.344 0.881
O 0.419 0.253 0.656
O 0.423 0.311 0.469
O 0.456 0.994 0.210

=====

## Q
A geometry-optimized FeSO8 structure, computed with PBE with a Hubbard U.

Lattice parameters (Å, degrees): 5.772 13.316 9.552 90.00 125.82 90.00
Space group P2_1/c (No. 14)
Asymmetric unit:
Fe 0.206 0.099 0.282
S 0.474 0.106 0.677
O 0.112 0.226 0.263
O 0.171 0.132 0.093
O 0.182 0.584 0.352
O 0.242 0.071 0.493
O 0.258 0.545 0.760
O 0.371 0.086 0.781
O 0.423 0.636 0.106
O 0.447 0.711 0.820

=====

Top of the stability list: Q, leading by 297 meV per atom.

=====

## P
A geometry-optimized Li7Co5O12 structure, computed with PBE with a Hubbard U.

Lattice parameters (Å, degrees): 5.015 8.650 9.698 89.88 80.81 89.86
Space group P1 (No. 1)
Asymmetric unit:
Li 0.000 0.000 0.000
Li 0.000 0.496 0.501
Li 0.240 0.335 0.255
Li 0.245 0.492 0.746
Li 0.249 0.659 0.254
Li 0.251 0.166 0.755
Li 0.252 0.835 0.756
Li 0.258 0.997 0.242
Li 0.742 0.997 0.758
Li 0.749 0.835 0.245
Li 0.750 0.164 0.246
Li 0.752 0.659 0.745
Li 0.755 0.493 0.253
Li 0.763 0.337 0.745
Co 0.000 0.324 0.000
Co 0.000 0.674 0.000
Co 0.001 0.166 0.501
Co 0.498 0.333 0.501
Co 0.499 0.997 0.499
Co 0.500 0.163 0.000
Co 0.500 0.495 0.000
Co 0.500 0.655 0.500
Co 0.500 0.834 0.000
Co 0.999 0.832 0.499
O 0.120 0.489 0.111
O 0.133 0.687 0.611
O 0.136 0.998 0.603
O 0.139 0.178 0.110
O 0.139 0.321 0.613
O 0.153 0.823 0.113
O 0.358 0.326 0.891
O 0.359 0.840 0.392
O 0.378 0.670 0.887
O 0.385 0.149 0.384
O 0.391 0.996 0.890
O 0.397 0.498 0.375
O 0.607 0.498 0.624
O 0.609 0.995 0.109
O 0.614 0.147 0.614
O 0.623 0.670 0.113
O 0.639 0.840 0.607
O 0.642 0.326 0.110
O 0.847 0.823 0.886
O 0.859 0.993 0.394
O 0.861 0.178 0.890
O 0.864 0.317 0.391
O 0.869 0.684 0.389
O 0.880 0.490 0.890

=====

## Q
A geometry-optimized Li7Co5O12 structure, computed with PBE with a Hubbard U.

Lattice parameters (Å, degrees): 3.001 5.136 14.669 95.22 95.44 105.89
Space group P-1 (No. 2)
Asymmetric unit:
Li 0.000 0.000 0.000
Li 0.003 0.246 0.751
Li 0.334 0.084 0.583
Li 0.338 0.590 0.083
Co 0.000 0.500 0.500
Co 0.333 0.333 0.331
Co 0.339 0.840 0.840
O 0.004 0.388 0.622
O 0.017 0.098 0.872
O 0.321 0.937 0.716
O 0.325 0.710 0.946
O 0.345 0.223 0.454
O 0.362 0.438 0.211

=====

Top of the stability list: P, leading by 63 meV per atom.